w | Compound: TeMoWSeS2
Source: Materials Project
Functional: PBE-GGA
Structure: optimized geometry

abc: 3.308 3.308 37.738
angles: 90.00 90.00 120.00
Positions (direct):
Te 0.333 0.667 0.419
Te 0.333 0.667 0.521
Mo 0.000 0.000 0.094
Mo 0.333 0.667 0.658
W 0.000 0.000 0.470
W 0.333 0.667 0.282
Se 0.000 0.000 0.702
Se 0.000 0.000 0.613
S 0.000 0.000 0.322
S 0.333 0.667 0.053
S 0.333 0.667 0.134
S 0.000 0.000 0.241

***

x | Compound: TeMoWSeS2
Source: Materials Project
Functional: PBE-GGA
Structure: optimized geometry

abc: 3.311 3.311 37.641
angles: 90.00 90.00 120.00
Positions (direct):
Te 0.333 0.667 0.709
Te 0.333 0.667 0.606
Mo 0.333 0.667 0.094
Mo 0.333 0.667 0.470
W 0.667 0.333 0.282
W 0.667 0.333 0.658
Se 0.333 0.667 0.327
Se 0.333 0.667 0.237
S 0.667 0.333 0.053
S 0.667 0.333 0.429
S 0.667 0.333 0.135
S 0.667 0.333 0.510

***

w wins, 1.4 kJ/mol of atoms ahead of the next structure.